<one>
An optimized crystal structure of CaAl2Si2H4O10, computed with PBE-GGA.

a b c (Å): 5.9337 8.8540 13.2224
angles (deg): 90.00 90.00 90.00
Closest atoms and distances in Å follow each position.
Sites, in units of the cell vectors:
O1 0.7500 0.3551 0.2469  2 H 0.98-1.01
O2 0.9786 0.6299 0.1151  1 Si 1.63
H1 0.2500 0.5532 0.7122  1 O 0.98
Si1 0.7500 0.7301 0.1310  4 O 1.63-1.67
O3 0.2500 0.8902 0.4482  1 H 1.00
Al1 0.5000 0.0000 0.0000  6 O 1.89-1.97
H2 0.7500 0.2183 0.5313  1 O 1.00
H3 0.2500 0.7183 0.9687  1 O 1.00
O4 0.7500 0.1098 0.5518  1 H 1.00
O5 0.7500 0.6153 0.9337  1 Si 1.66
H4 0.2500 0.9468 0.2122  1 O 0.98
Al2 0.5000 0.5000 0.5000  6 O 1.89-1.97
O6 0.9726 0.6200 0.3786  1 Si 1.64
H5 0.7500 0.2817 0.0313  1 O 1.00
O7 0.4786 0.1299 0.3849  1 Si 1.63
H6 0.7500 0.3129 0.4039  1 O 0.97
Si2 0.7500 0.7699 0.6310  4 O 1.63-1.67
O8 0.7500 0.7995 0.2483  2 Si 1.67
O9 0.4786 0.3701 0.8849  1 Si 1.63
Ca1 0.2500 0.9176 0.7485  6 O 2.40-2.51
O10 0.2500 0.6205 0.5376  1 H 0.97
H7 0.7500 0.1871 0.9039  1 O 0.97
O11 0.4726 0.3800 0.6214  1 Si 1.64
O12 0.9786 0.8701 0.6151  1 Si 1.63
H8 0.7500 0.1159 0.6728  1 O 1.01
H9 0.2500 0.8841 0.3272  1 O 1.01
O13 0.5274 0.6200 0.3786  1 Si 1.64
H10 0.2500 0.6871 0.5961  1 O 0.97
O14 0.7500 0.3795 0.4624  1 H 0.97
O15 0.0274 0.3800 0.6214  1 Si 1.64
O16 0.5214 0.6299 0.1151  1 Si 1.63
H11 0.2500 0.7817 0.4687  1 O 1.00
Ca2 0.7500 0.4176 0.7515  6 O 2.40-2.51
Si3 0.2500 0.2727 0.6350  4 O 1.64-1.67
O17 0.7500 0.1205 0.9624  1 H 0.97
O18 0.2500 0.8795 0.0376  1 H 0.97
O19 0.2500 0.2005 0.7517  2 Si 1.67
H12 0.2500 0.6159 0.8272  1 O 1.01
Si4 0.2500 0.2699 0.8690  4 O 1.63-1.67
Al3 0.0000 0.0000 0.0000  6 O 1.89-1.97
H13 0.7500 0.0532 0.7878  1 O 0.98
O20 0.4726 0.1200 0.1214  1 Si 1.64
O21 0.7500 0.7005 0.7483  2 Si 1.67
Ca3 0.7500 0.0824 0.2515  6 O 2.40-2.51
Al4 0.0000 0.0000 0.5000  6 O 1.90-2.00
Si5 0.2500 0.2301 0.3690  4 O 1.63-1.67
Al5 0.5000 0.0000 0.5000  6 O 1.90-2.00
Al6 0.0000 0.5000 0.0000  6 O 1.90-2.00
O22 0.5274 0.8800 0.8786  1 Si 1.64
H14 0.7500 0.3841 0.1728  1 O 1.01
O23 0.0274 0.1200 0.1214  1 Si 1.64
Al7 0.5000 0.5000 0.0000  6 O 1.90-2.00
O24 0.2500 0.6449 0.7531  2 H 0.98-1.01
O25 0.0214 0.1299 0.3849  1 Si 1.63
O26 0.7500 0.8872 0.0622  1 Si 1.66
O27 0.7500 0.1449 0.7469  2 H 0.98-1.01
H15 0.7500 0.4468 0.2878  1 O 0.98
Si6 0.7500 0.7727 0.8650  4 O 1.64-1.67
O28 0.0214 0.3701 0.8849  1 Si 1.63
O29 0.2500 0.2995 0.2517  2 Si 1.67
H16 0.2500 0.8129 0.0961  1 O 0.97
Al8 0.0000 0.5000 0.5000  6 O 1.89-1.97
Si7 0.2500 0.2273 0.1350  4 O 1.64-1.67
O30 0.7500 0.6128 0.5622  1 Si 1.66
O31 0.2500 0.6098 0.9482  1 H 1.00
O32 0.2500 0.8551 0.2531  2 H 0.98-1.01
Si8 0.7500 0.7273 0.3650  4 O 1.64-1.67
O33 0.7500 0.3902 0.0518  1 H 1.00
O34 0.2500 0.3872 0.4378  1 Si 1.66
O35 0.2500 0.1153 0.5663  1 Si 1.66
O36 0.9726 0.8800 0.8786  1 Si 1.64
O37 0.2500 0.1128 0.9378  1 Si 1.66
O38 0.7500 0.8847 0.4337  1 Si 1.66
O39 0.5214 0.8701 0.6151  1 Si 1.63
O40 0.2500 0.3847 0.0663  1 Si 1.66
Ca4 0.2500 0.5824 0.2485  6 O 2.40-2.51

Properties
Its space group is Pnma, No. 62. For the size of the total moment, the calculation gives 0.000 Bohr magnetons per cell.

=====

<two>
An optimized crystal structure of CaAl2Si2H4O10, computed with PBE-GGA.

a b c (Å): 6.0532 6.0532 13.8832
angles (deg): 90.00 90.00 58.29
Closest atoms and distances in Å follow each position.
Sites, in units of the cell vectors:
Al1 0.0000 0.5000 0.0000  6 O 1.89-1.99
O1 0.6427 0.6427 0.9751  1 H 0.97
H1 0.5862 0.5862 0.9203  1 O 0.97
O2 0.4707 0.9376 0.1389  1 Si 1.64
O3 0.0624 0.5293 0.6389  1 Si 1.64
H2 0.5862 0.5862 0.5797  1 O 0.97
Al2 0.5000 0.0000 0.5000  6 O 1.89-1.99
O4 0.4707 0.9376 0.3611  1 Si 1.64
Si1 0.2131 0.2131 0.8503  4 O 1.64-1.68
O5 0.3573 0.3573 0.4751  1 H 0.97
O6 0.3573 0.3573 0.0249  1 H 0.97
O7 0.8595 0.8595 0.0437  1 Si 1.66
H3 0.4138 0.4138 0.4203  1 O 0.97
Si2 0.7869 0.7869 0.3503  4 O 1.64-1.68
Si3 0.2131 0.2131 0.6497  4 O 1.64-1.68
O8 0.8595 0.8595 0.4563  1 Si 1.66
H4 0.5477 0.5477 0.1952  1 O 0.98
O9 0.5109 0.5109 0.7500  2 H 0.98
O10 0.5293 0.0624 0.8611  1 Si 1.64
O11 0.0624 0.5293 0.8611  1 Si 1.64
O12 0.1405 0.1405 0.5437  1 Si 1.66
O13 0.6427 0.6427 0.5249  1 H 0.97
O14 0.8750 0.8750 0.2500  2 Si 1.68
Al3 0.5000 0.0000 0.0000  6 O 1.89-1.99
H5 0.5477 0.5477 0.3048  1 O 0.98
O15 0.4891 0.4891 0.2500  2 H 0.98
O16 0.5293 0.0624 0.6389  1 Si 1.64
O17 0.9376 0.4707 0.1389  1 Si 1.64
Ca1 0.8667 0.8667 0.7500  4 O 2.33
H6 0.4138 0.4138 0.0797  1 O 0.97
H7 0.4523 0.4523 0.8048  1 O 0.98
O18 0.9376 0.4707 0.3611  1 Si 1.64
Si4 0.7869 0.7869 0.1497  4 O 1.64-1.68
Ca2 0.1333 0.1333 0.2500  4 O 2.33
O19 0.1405 0.1405 0.9563  1 Si 1.66
Al4 0.0000 0.5000 0.5000  6 O 1.89-1.99
H8 0.4523 0.4523 0.6952  1 O 0.98
O20 0.1250 0.1250 0.7500  2 Si 1.68

Properties
Its space group is Cmcm, No. 63. For the size of the total moment, the calculation gives 0.004 Bohr magnetons per cell.

=====

Most stable: <one>

=====

<one>
An optimized crystal structure of CaAl2Si3H6O13, computed with PBE-GGA.

a b c (Å): 6.6088 9.9110 10.0741
angles (deg): 84.31 70.85 72.41
Closest atoms and distances in Å follow each position.
Sites, in units of the cell vectors:
Si1 0.2538 0.3014 0.4127  4 O 1.61-1.67
O1 0.4475 0.8913 0.5733  2 H 0.98-0.99
H1 0.9680 0.0848 0.7372  1 O 0.99
O2 0.9909 0.1152 0.6376  2 H 0.97-0.99
Si2 0.3420 0.1659 0.9113  4 O 1.62-1.67
Ca1 0.3829 0.4392 0.0382  7 O 2.34-2.62
Al1 0.3197 0.4034 0.6769  4 O 1.74-1.77
O3 0.0707 0.5420 0.6966  1 Si 1.62, 1 Al 1.76
O4 0.3555 0.4096 0.2914  1 Si 1.65, 1 Al 1.78
O5 0.3443 0.2933 0.5446  1 Si 1.61, 1 Al 1.74
H2 0.4552 0.5848 0.7628  1 O 0.99
H3 0.8746 0.5568 0.1938  1 O 1.00
O6 0.1871 0.8615 0.0384  2 Si 1.65-1.67
Al2 0.4192 0.5659 0.3161  4 O 1.75-1.78
H4 0.9761 0.6580 0.0753  1 O 0.97
O7 0.6389 0.7933 0.9554  1 Si 1.61, 1 Al 1.74
Si3 0.9915 0.9999 0.0116  4 O 1.62-1.66
O8 0.9273 0.9696 0.8777  1 Si 1.62, 1 H 1.73, 1 Al 1.77
O9 0.0902 0.1390 0.9718  2 Si 1.66-1.67
O10 0.5173 0.0420 0.8034  1 Si 1.62, 1 Al 1.76
O11 0.5550 0.4696 0.6223  1 Si 1.62, 1 H 1.73, 1 Al 1.77
O12 0.9023 0.8235 0.6577  1 Si 1.63, 1 Al 1.76
Si4 0.7531 0.4999 0.4884  4 O 1.62-1.66
O13 0.8120 0.6390 0.5282  2 Si 1.66-1.67
O14 0.0007 0.5600 0.1066  2 H 0.97-1.00
O15 0.9755 0.3615 0.4616  2 Si 1.65-1.67
O16 0.4197 0.6440 0.1522  1 Si 1.63, 1 Al 1.75
Si5 0.0033 0.6659 0.5887  4 O 1.62-1.67
Al3 0.7466 0.9034 0.8231  4 O 1.74-1.77
O17 0.3219 0.1440 0.3478  1 Si 1.63, 1 Al 1.75
Si6 0.4165 0.8014 0.0873  4 O 1.61-1.67
H5 0.5848 0.8120 0.5616  1 O 0.99
H6 0.9204 0.2162 0.6340  1 O 0.97
O18 0.7707 0.3913 0.9267  2 H 0.98-0.99
H7 0.3044 0.7162 0.8660  1 O 0.97
O19 0.3100 0.3235 0.8423  1 Si 1.63, 1 Al 1.76
H8 0.8013 0.1580 0.4247  1 O 0.97
H9 0.8354 0.4673 0.8812  1 O 0.98
O20 0.3785 0.6152 0.8624  2 H 0.97-0.99
O21 0.2163 0.6804 0.4515  1 Si 1.65, 1 Al 1.77
O22 0.4178 0.1804 0.0485  1 Si 1.65, 1 Al 1.77
O23 0.8573 0.0600 0.3934  2 H 0.97-1.00
H10 0.4665 0.9673 0.6188  1 O 0.98
O24 0.6783 0.5345 0.3464  1 Si 1.63, 1 H 1.70, 1 Al 1.77
H11 0.8963 0.3120 0.9384  1 O 0.99
H12 0.8184 0.0568 0.3062  1 O 1.00
Al4 0.4853 0.0659 0.1839  4 O 1.75-1.78
O25 0.7747 0.0345 0.1536  1 Si 1.63, 1 H 1.70, 1 Al 1.77
Ca2 0.1710 0.9392 0.4618  7 O 2.34-2.62
O26 0.3969 0.9096 0.2086  1 Si 1.65, 1 Al 1.78

Properties
Its space group is Cc, No. 9. For the size of the total moment, the calculation gives 0.004 Bohr magnetons per cell.

=====

<two>
An optimized crystal structure of CaAl2Si3H6O13, computed with PBE-GGA.

a b c (Å): 10.1374 10.1374 9.9045
angles (deg): 83.88 83.88 142.16
Closest atoms and distances in Å follow each position.
Sites, in units of the cell vectors:
O1 0.0768 0.7990 0.1471  2 Si 1.66-1.67, 1 H 1.79
O2 0.3744 0.6632 0.2838  1 Si 1.63, 1 Al 1.76
Ca1 0.1578 0.3717 0.9479  6 O 2.33-2.55
O3 0.3681 0.9788 0.6212  2 H 0.97-0.99
O4 0.9835 0.2059 0.3664  2 Si 1.64-1.66
H1 0.4452 0.9568 0.5923  1 O 0.99
O5 0.5530 0.9274 0.4733  1 Si 1.62, 1 H 1.73, 1 Al 1.77
O6 0.9274 0.5530 0.9733  1 Si 1.62, 1 H 1.73, 1 Al 1.77
H2 0.8116 0.8702 0.0509  1 O 1.00
Ca2 0.3717 0.1578 0.4479  6 O 2.33-2.55
O7 0.4068 0.2076 0.1844  1 Si 1.64, 1 Al 1.77
Si1 0.4264 0.2631 0.8008  4 O 1.63-1.66
O8 0.5055 0.0685 0.0362  1 Si 1.62, 1 Al 1.76
H3 0.8702 0.8116 0.5509  1 O 1.00
O9 0.8981 0.3084 0.8241  1 Si 1.62, 1 Al 1.76
O10 0.9812 0.8307 0.5592  2 H 0.98-1.00
H4 0.4375 0.8356 0.9547  1 O 0.98
Si2 0.9932 0.7515 0.0026  4 O 1.62-1.66
O11 0.7779 0.6785 0.0309  1 Si 1.63, 1 H 1.73, 1 Al 1.77
O12 0.2076 0.4068 0.6844  1 Si 1.64, 1 Al 1.77
H5 0.8356 0.4375 0.4547  1 O 0.98
O13 0.8307 0.9812 0.0592  2 H 0.98-1.00
O14 0.3965 0.3545 0.9111  1 Si 1.65, 1 Al 1.78
O15 0.3269 0.4247 0.1434  1 Si 1.63, 1 Al 1.75
Al1 0.3276 0.7505 0.3999  4 O 1.76-1.77
O16 0.3545 0.3965 0.4111  1 Si 1.65, 1 Al 1.78
O17 0.2059 0.9835 0.8664  2 Si 1.64-1.66
Al2 0.7505 0.3276 0.8999  4 O 1.76-1.77
H6 0.2964 0.9152 0.7244  1 O 0.97
Si3 0.3327 0.9972 0.1687  4 O 1.62-1.67
Si4 0.9972 0.3327 0.6687  4 O 1.62-1.67
H7 0.8954 0.6882 0.6254  1 O 0.98
O18 0.4219 0.7608 0.8889  2 H 0.98-0.99
O19 0.7608 0.4219 0.3889  2 H 0.98-0.99
O20 0.0685 0.5055 0.5362  1 Si 1.62, 1 Al 1.76
O21 0.7990 0.0768 0.6471  2 Si 1.66-1.67, 1 H 1.79
O22 0.9788 0.3681 0.1212  2 H 0.97-0.99
Al3 0.4845 0.4174 0.0666  4 O 1.75-1.78
H8 0.8808 0.5653 0.3088  1 O 0.99
O23 0.6785 0.7779 0.5309  1 Si 1.63, 1 H 1.73, 1 Al 1.77
O24 0.6632 0.3744 0.7838  1 Si 1.63, 1 Al 1.76
H9 0.5653 0.8808 0.8088  1 O 0.99
H10 0.9568 0.4452 0.0923  1 O 0.99
Si5 0.7515 0.9932 0.5026  4 O 1.62-1.66
H11 0.9152 0.2964 0.2244  1 O 0.97
O25 0.3084 0.8981 0.3241  1 Si 1.62, 1 Al 1.76
Si6 0.2631 0.4264 0.3008  4 O 1.63-1.66
O26 0.4247 0.3269 0.6434  1 Si 1.63, 1 Al 1.75
Al4 0.4174 0.4845 0.5666  4 O 1.75-1.78
H12 0.6882 0.8954 0.1254  1 O 0.98

Properties
Its space group is Cc, No. 9. For the size of the total moment, the calculation gives 0.004 Bohr magnetons per cell.

=====

Most stable: <two>